Computed, not measured: an optimized crystal structure of Rb2TeH6SO10 at the PBE level of DFT.

Energy of formation (eV per atom): -1.335
MP2020-corrected energy (eV per formula unit): -105.78
Final energy (eV per atom): -4.945

```
80
Lattice="12.780 0.000 0.000 0.000 7.735 0.000 -3.051 0.000 12.846" Properties=species:S:1:pos:R:3 pbc="T T T"
Rb 0.518 0.376 5.093
Rb -1.008 3.491 11.516
Rb 3.949 0.612 2.402
Rb 2.423 3.255 8.825
Rb 7.306 4.480 4.021
Rb 5.780 7.122 10.444
Rb 10.736 4.244 1.330
Rb 9.211 7.359 7.753
Te 0.000 0.000 0.000
Te -1.526 3.867 6.423
Te 4.864 0.000 6.423
Te 6.390 3.867 0.000
H -1.196 1.832 8.129
H 0.329 2.036 1.706
H -0.088 5.579 7.663
H 1.438 6.023 1.240
H 1.281 5.717 3.094
H -0.245 5.885 9.517
H 2.068 4.283 5.456
H 0.543 7.319 11.879
H 3.458 4.337 6.108
H 1.932 7.265 12.531
H 2.248 5.543 11.532
H 3.774 6.060 5.109
H 5.955 1.675 7.737
H 7.481 2.192 1.314
H 7.796 0.470 0.316
H 6.271 3.397 6.739
H 9.186 0.415 0.967
H 7.660 3.452 7.390
H 9.974 1.850 3.329
H 8.448 2.017 9.752
H 8.291 1.712 11.606
H 9.816 2.156 5.183
H 9.400 5.699 11.140
H 10.925 5.903 4.717
S 0.525 0.187 9.172
S 2.051 3.680 2.749
S 7.678 4.054 10.098
S 9.203 7.548 3.675
O -0.161 1.861 0.845
O -1.687 2.007 7.269
O -0.335 4.666 7.986
O 1.191 6.936 1.563
O -0.400 1.325 9.534
O 1.125 2.542 3.111
O 1.704 4.192 1.379
O 0.178 7.410 7.802
O 1.418 4.963 3.725
O -0.108 6.639 10.148
O 1.101 0.057 12.527
O 2.626 3.810 6.104
O 3.370 0.548 5.464
O 1.844 3.319 11.887
O 4.418 5.332 1.822
O 2.893 6.270 8.245
O 5.229 4.293 1.852
O 3.704 7.309 8.275
O 3.060 5.723 12.058
O 4.585 5.879 5.635
O 5.143 1.855 7.211
O 6.669 2.012 0.788
O 6.025 0.426 4.571
O 4.499 3.441 10.994
O 6.836 1.465 4.601
O 5.310 2.402 11.024
O 7.884 4.416 0.959
O 6.359 7.186 7.382
O 7.102 3.924 6.742
O 8.628 7.678 0.319
O 9.836 1.095 2.698
O 8.311 2.772 9.121
O 9.550 0.325 5.044
O 8.025 3.543 11.467
O 8.603 5.192 9.735
O 10.129 6.410 3.312
O 8.538 0.799 11.284
O 10.064 3.069 4.860
O 11.415 5.728 5.578
O 9.890 5.874 12.001
```